# 1
Entry from the Materials Project database: an optimized crystal structure of DyCoSn (PBE-GGA).

The value obtained for the calculated formation energy is -0.489 eV/atom.

The space group is Pnma (No. 62) and the conventional cell measures 7.357, 4.582 and 7.235 Å, with angles of 90.00, 90.00 and 90.00 degrees. Symmetry generates all atoms from Dy at (0.026, 0.250, 0.199), Co at (0.148, 0.750, 0.442) and Sn at (0.203, 0.250, 0.611).

# 2
Entry from the Materials Project database: an optimized crystal structure of Na3Li3N2 (PBE-GGA).

The MP2020-corrected energy comes out at -23.7 eV per cell. For the total magnetization, the calculation gives 2.07 μB/f.u. The value obtained for the calculated formation energy is 0.339 eV/atom. For the energy relative to the lowest polymorph listed for this composition, the calculation gives 0.4429 eV per atom.

The space group is P-4m2 (No. 115) and the conventional cell measures 3.796, 3.796 and 10.801 Å, with angles of 90.00, 90.00 and 90.00 degrees. Symmetry generates all atoms from Na at (0.000, 0.000, 0.000), Na at (0.000, 0.000, 0.278), Li at (0.000, 0.000, 0.500), Li at (0.500, 0.500, 0.000), Li at (0.500, 0.500, 0.500) and N at (0.000, 0.500, 0.585).

# 3
Entry from the Materials Project database: an optimized crystal structure of Ge6Bi3N11 (PBE-GGA).

The MP2020-corrected energy comes out at -261.0 eV per cell. For the total magnetization, the calculation gives 0.00 μB/f.u. The value obtained for the calculated formation energy is 0.031 eV/atom.

The space group is P4bm (No. 100) and the conventional cell measures 10.657, 10.657 and 5.204 Å, with angles of 90.00, 90.00 and 90.00 degrees. Symmetry generates all atoms from Ge at (0.082, 0.206, 0.000), Ge at (0.117, 0.383, 0.524), Bi at (0.000, 0.000, 0.439), Bi at (0.188, 0.688, 0.423), N at (0.000, 0.500, 0.455), N at (0.074, 0.823, 0.144), N at (0.078, 0.224, 0.651) and N at (0.168, 0.332, 0.186).

The highest calculated formation energy belongs to which entry? Na3Li3N2